# 1
Here is an optimized crystal structure of Zr2Au from Materials Project. Energies are from r2SCAN. Values from VASP.

The energy of formation from the pure elements is -0.468 eV per atom. The calculation puts the total energy at -32.4966 eV/atom.

Cell and atoms, written as Quantum ESPRESSO input:
```
&SYSTEM
  ibrav = 0, nat = 3, ntyp = 2
/
ATOMIC_SPECIES
Zr 91.22 Zr.upf
Au 196.97 Au.upf
CELL_PARAMETERS angstrom
-2.585 -1.318 1.573
2.051 -1.582 2.045
0.157 6.003 1.823
ATOMIC_POSITIONS crystal
Zr 0.340 0.340 0.681
Zr 0.660 0.660 0.319
Au 0.000 0.000 0.000
```

=====

# 2
Here is an optimized crystal structure of Er5BiPd2 from Materials Project. Energies are from r2SCAN. Values from VASP.

The energy of formation from the pure elements is -0.765 eV per atom. The calculation puts the total energy at -35.0209 eV/atom.

Cell and atoms, written as Quantum ESPRESSO input:
```
&SYSTEM
  ibrav = 0, nat = 16, ntyp = 3
/
ATOMIC_SPECIES
Pd 106.42 Pd.upf
Er 167.26 Er.upf
Bi 208.98 Bi.upf
CELL_PARAMETERS angstrom
-3.852 3.852 6.786
3.852 -3.852 6.786
3.852 3.852 -6.786
ATOMIC_POSITIONS crystal
Pd 0.638 0.862 0.500
Pd 0.138 0.638 0.777
Pd 0.862 0.362 0.223
Pd 0.362 0.138 0.500
Er 0.206 0.706 0.193
Er 0.294 0.486 0.500
Er 0.794 0.294 0.807
Er 0.514 0.014 0.807
Er 0.000 0.000 0.000
Er 0.486 0.986 0.193
Er 0.014 0.206 0.500
Er 0.706 0.514 0.500
Er 0.500 0.500 0.000
Er 0.986 0.794 0.500
Bi 0.750 0.750 0.000
Bi 0.250 0.250 0.000
```